# Zr5Zn39 PBE-GGA optimized geometry
data_Zr5Zn39
_symmetry_space_group_name_H-M 'C 1 2/m 1'
_symmetry_Int_Tables_number 12
_symmetry_space_group_name_Hall '-C 2y'
_cell_length_a 17.874
_cell_length_b 8.603
_cell_length_c 12.508
_cell_angle_alpha 90.00
_cell_angle_beta 134.33
_cell_angle_gamma 90.00
loop_
_atom_site_label
_atom_site_type_symbol
_atom_site_fract_x
_atom_site_fract_y
_atom_site_fract_z
_atom_site_occupancy
Zr1 Zr 0.000 0.000 0.000 1
Zr2 Zr 0.072 0.500 0.792 1
Zr3 Zr 0.229 0.000 0.654 1
Zn1 Zn 0.000 0.000 0.500 1
Zn2 Zn 0.058 0.153 0.837 1
Zn3 Zn 0.072 0.341 0.199 1
Zn4 Zn 0.075 0.238 0.443 1
Zn5 Zn 0.097 0.500 0.581 1
Zn6 Zn 0.122 0.000 0.341 1
Zn7 Zn 0.122 0.344 0.049 1
Zn8 Zn 0.128 0.233 0.703 1
Zn9 Zn 0.154 0.500 0.440 1
Zn10 Zn 0.216 0.000 0.092 1
Zn11 Zn 0.216 0.155 0.272 1
Zn12 Zn 0.219 0.000 0.876 1
Zn13 Zn 0.250 0.250 0.000 1
Zn14 Zn 0.250 0.250 0.500 1
# formation enthalpy at 0 K: -17.0 kJ per mole of atoms